Here is an optimized crystal structure of Ta3InP6O24 from the Materials Project. Energies are from PBE-GGA.

a = 8.8113 Å, b = 8.8113 Å, c = 22.7146 Å
α = 90.00°, β = 90.00°, γ = 120.00°
Closest atoms and distances in Å follow each position.
Element x y z (fractional)
P: 0.3762 0.3303 0.0830  4 O 1.49-1.58
O: 0.4893 0.3771 0.1363  1 P 1.49
O: 0.3176 0.4796 0.4713  1 P 1.55
Ta: 0.3333 0.6667 0.0234  6 O 1.92-2.03
P: 0.9541 0.6238 0.0830  4 O 1.49-1.58
P: 0.2875 0.0001 0.2516  4 O 1.49-1.61
O: 0.6248 0.5132 0.6390  1 P 1.51
P: 0.9539 0.3356 0.5827  4 O 1.51-1.58
Ta: 0.3333 0.6667 0.8079  6 O 1.94-2.03
O: 0.3640 0.8640 0.8618  1 P 1.54
O: 0.1733 0.9737 0.9059  1 P 1.55
Ta: 0.0000 0.0000 0.1476  6 O 1.94-2.06
O: 0.8501 0.3180 0.2407  1 P 1.49
O: 0.8358 0.5309 0.0274  1 P 1.58
O: 0.1639 0.1976 0.6957  1 P 1.54
O: 0.5357 0.8300 0.7618  1 P 1.58
O: 0.1735 0.4698 0.2587  1 P 1.58
O: 0.7953 0.9730 0.4138  1 P 1.49
O: 0.4671 0.1655 0.5288  1 P 1.54
O: 0.6952 0.1642 0.0274  1 P 1.58
P: 0.3347 0.9510 0.9162  4 O 1.53-1.55
O: 0.1863 0.1698 0.8055  1 P 1.56
O: 0.6229 0.1123 0.1363  1 P 1.49
O: 0.1620 0.6824 0.4713  1 P 1.55
O: 0.2963 0.8265 0.2587  1 P 1.58
O: 0.5099 0.8609 0.0676  1 P 1.57
P: 0.2821 0.2823 0.7500  4 O 1.50-1.58
O: 0.1948 0.0253 0.5926  1 P 1.58
O: 0.1391 0.6490 0.0676  1 P 1.57
In: 0.6667 0.3333 0.1879  6 O 2.07-2.14
O: 0.1397 0.4884 0.5696  1 P 1.54
O: 0.6951 0.1569 0.7465  1 P 1.50
O: 0.8199 0.7920 0.3059  1 P 1.50
O: 0.1777 0.2047 0.4138  1 P 1.49
O: 0.2942 0.4643 0.7618  1 P 1.58
Ta: 0.6667 0.3333 0.9786  6 O 1.97-2.01
P: 0.6697 0.0459 0.0830  4 O 1.49-1.58
O: 0.5000 0.6360 0.8618  1 P 1.54
Ta: 0.3333 0.6667 0.5211  6 O 1.95-1.98
O: 0.0263 0.1997 0.9059  1 P 1.55
O: 0.1930 0.1687 0.0903  1 P 1.54
O: 0.5045 0.3725 0.4282  1 P 1.57
O: 0.9835 0.8137 0.8055  1 P 1.56
O: 0.4955 0.1342 0.9274  1 P 1.55
O: 0.8431 0.5381 0.7465  1 P 1.50
O: 0.4691 0.3048 0.0274  1 P 1.58
O: 0.8302 0.0165 0.8055  1 P 1.56
P: 0.0490 0.3837 0.9162  4 O 1.53-1.55
O: 0.5313 0.6961 0.9704  1 P 1.53
O: 0.8884 0.3752 0.6390  1 P 1.51
O: 0.3039 0.8352 0.9704  1 P 1.53
P: 0.9999 0.2874 0.2516  4 O 1.49-1.61
Ta: 0.0000 0.0000 0.6404  6 O 1.95-2.05
O: 0.1647 0.9668 0.1951  1 P 1.61
Ta: 0.6667 0.3333 0.4747  6 O 1.94-2.05
In: 0.6667 0.3333 0.6888  6 O 2.12-2.14
O: 0.1347 0.6317 0.3622  1 P 1.54
O: 0.0270 0.8223 0.4138  1 P 1.49
O: 0.8680 0.4955 0.4282  1 P 1.57
O: 0.5302 0.7037 0.2587  1 P 1.58
P: 0.6644 0.6183 0.5827  4 O 1.51-1.58
P: 0.6163 0.6653 0.9162  4 O 1.53-1.55
O: 0.8024 0.9662 0.6957  1 P 1.54
O: 0.9757 0.8070 0.0903  1 P 1.54
Ta: 0.3333 0.6667 0.3074  6 O 1.94-2.04
O: 0.3510 0.4901 0.0676  1 P 1.57
O: 0.8003 0.8267 0.9059  1 P 1.55
O: 0.4868 0.1116 0.6390  1 P 1.51
O: 0.5116 0.6513 0.5696  1 P 1.54
O: 0.6387 0.5045 0.9274  1 P 1.55
P: 0.3347 0.3843 0.4164  4 O 1.49-1.57
O: 0.4678 0.1499 0.2407  1 P 1.49
P: 0.7126 0.7125 0.2516  4 O 1.49-1.61
O: 0.1648 0.4687 0.9704  1 P 1.53
O: 0.8877 0.5107 0.1363  1 P 1.49
O: 0.0338 0.8361 0.6957  1 P 1.54
P: 0.0002 0.7179 0.7500  4 O 1.50-1.58
O: 0.1700 0.7058 0.7618  1 P 1.58
O: 0.8313 0.0243 0.0903  1 P 1.54
O: 0.8345 0.3016 0.5288  1 P 1.54
O: 0.5204 0.8380 0.4713  1 P 1.55
Ta: 0.0000 0.0000 0.8564  6 O 1.95-2.00
P: 0.6157 0.9504 0.4164  4 O 1.49-1.57
O: 0.4970 0.8653 0.3622  1 P 1.54
O: 0.8305 0.8052 0.5926  1 P 1.58
P: 0.7177 0.9998 0.7500  4 O 1.50-1.58
O: 0.4619 0.3049 0.7465  1 P 1.50
O: 0.8021 0.8353 0.1951  1 P 1.61
O: 0.9721 0.1801 0.3059  1 P 1.50
P: 0.3817 0.0461 0.5827  4 O 1.51-1.58
O: 0.1360 0.5000 0.8618  1 P 1.54
O: 0.2080 0.0279 0.3059  1 P 1.50
O: 0.6275 0.1320 0.4282  1 P 1.57
O: 0.9747 0.1695 0.5926  1 P 1.58
In: 0.0000 0.0000 0.3582  6 O 2.09-2.12
O: 0.8658 0.3613 0.9274  1 P 1.55
O: 0.3683 0.5030 0.3622  1 P 1.54
O: 0.6984 0.5329 0.5288  1 P 1.54
P: 0.0496 0.6653 0.4164  4 O 1.49-1.57
O: 0.3487 0.8603 0.5696  1 P 1.54
O: 0.0332 0.1979 0.1951  1 P 1.61
O: 0.6820 0.5322 0.2407  1 P 1.49

## Properties
The calculation puts the total energy at -7.995 eV/atom. For the calculated density, the calculation gives 4.00 g/cm³. The calculated formation energy comes out at -2.9046 eV per atom.

Here is an optimized crystal structure of PrInO3 from the Materials Project. Energies are from PBE-GGA.

a = 5.7134 Å, b = 5.9999 Å, c = 8.3251 Å
α = 90.00°, β = 90.00°, γ = 90.00°
Closest atoms and distances in Å follow each position.
Element x y z (fractional)
O: 0.1216 0.4482 0.7500  2 In 2.22, 2 Pr 2.36-2.46
O: 0.8784 0.5518 0.2500  2 In 2.22, 2 Pr 2.36-2.46
In: 0.0000 0.5000 0.0000  6 O 2.18-2.22
Pr: 0.5174 0.5594 0.7500  4 O 2.36-2.46
O: 0.1922 0.1949 0.4361  2 In 2.18-2.20, 1 Pr 2.39
Pr: 0.9826 0.0594 0.7500  4 O 2.36-2.46
Pr: 0.4826 0.4406 0.2500  4 O 2.36-2.46
In: 0.5000 0.0000 0.5000  6 O 2.18-2.22
In: 0.5000 0.0000 0.0000  6 O 2.18-2.22
In: 0.0000 0.5000 0.5000  6 O 2.18-2.22
O: 0.3078 0.6949 0.4361  2 In 2.18-2.20, 1 Pr 2.39
O: 0.6216 0.0518 0.2500  2 In 2.22, 2 Pr 2.36-2.46
O: 0.1922 0.1949 0.0639  2 In 2.18-2.20, 1 Pr 2.39
O: 0.8078 0.8051 0.9361  2 In 2.18-2.20, 1 Pr 2.39
O: 0.3784 0.9482 0.7500  2 In 2.22, 2 Pr 2.36-2.46
Pr: 0.0174 0.9406 0.2500  4 O 2.36-2.46
O: 0.8078 0.8051 0.5639  2 In 2.18-2.20, 1 Pr 2.39
O: 0.3078 0.6949 0.0639  2 In 2.18-2.20, 1 Pr 2.39
O: 0.6922 0.3051 0.5639  2 In 2.18-2.20, 1 Pr 2.39
O: 0.6922 0.3051 0.9361  2 In 2.18-2.20, 1 Pr 2.39

## Properties
The calculation puts the total energy at -6.924 eV/atom. For the calculated density, the calculation gives 7.07 g/cm³. The calculated formation energy comes out at -2.8607 eV per atom.

Here is an optimized crystal structure of SrPrInO4 from the Materials Project. Energies are from PBE-GGA.

a = 5.9550 Å, b = 6.0234 Å, c = 12.4649 Å
α = 90.00°, β = 90.00°, γ = 90.00°
Closest atoms and distances in Å follow each position.
Element x y z (fractional)
Sr: 0.4924 0.9641 0.3525  4 O 2.44-2.62
O: 0.4190 0.9497 0.8218  1 In 2.30, 2 Pr 2.33-2.43, 1 Sr 2.53
Pr: 0.9855 0.9433 0.1479  4 O 2.33-2.43
O: 0.6953 0.2978 0.9593  2 In 2.18-2.20, 1 Pr 2.40
Sr: 0.9924 0.5359 0.6475  4 O 2.44-2.62
O: 0.3047 0.7978 0.5407  2 In 2.18-2.20, 1 Pr 2.40
O: 0.5810 0.4497 0.6782  1 In 2.30, 2 Pr 2.33-2.43, 1 Sr 2.53
Pr: 0.0145 0.4433 0.3521  4 O 2.33-2.43
O: 0.9190 0.5503 0.1782  1 In 2.30, 2 Pr 2.33-2.43, 1 Sr 2.53
O: 0.3902 0.5434 0.3312  1 In 2.21, 1 Pr 2.33, 1 Sr 2.44
In: 0.4963 0.0071 0.0008  6 O 2.18-2.30
O: 0.2771 0.7202 0.0302  2 In 2.20
Pr: 0.5145 0.0567 0.6479  4 O 2.33-2.43
In: 0.5037 0.5071 0.4992  6 O 2.18-2.30
O: 0.2229 0.2798 0.5302  2 In 2.20
In: 0.0037 0.9929 0.5008  6 O 2.18-2.30
Sr: 0.0076 0.0359 0.8525  4 O 2.44-2.62
O: 0.6098 0.0434 0.1688  1 In 2.21, 1 Pr 2.33, 1 Sr 2.44
O: 0.8902 0.9566 0.6688  1 In 2.21, 1 Pr 2.33, 1 Sr 2.44
Pr: 0.4855 0.5567 0.8521  4 O 2.33-2.43
O: 0.1098 0.4566 0.8312  1 In 2.21, 1 Pr 2.33, 1 Sr 2.44
O: 0.7229 0.2202 0.4698  2 In 2.20
O: 0.1953 0.2022 0.0407  2 In 2.18-2.20, 1 Pr 2.40
O: 0.8047 0.7022 0.4593  2 In 2.18-2.20, 1 Pr 2.40
O: 0.0810 0.0503 0.3218  1 In 2.30, 2 Pr 2.33-2.43, 1 Sr 2.53
Sr: 0.5076 0.4641 0.1475  4 O 2.44-2.62
O: 0.7771 0.7798 0.9698  2 In 2.20
In: 0.9963 0.4929 0.9992  6 O 2.18-2.30

## Properties
The calculation puts the total energy at -6.668 eV/atom. For the calculated density, the calculation gives 6.05 g/cm³. The calculated formation energy comes out at -2.9159 eV per atom.